Crystalline PmMg at its relaxed geometry. Source: Materials Project, functional PBE-GGA.

Lattice parameters (Å, degrees): 3.8622 3.8622 3.8622 90.00 90.00 90.00
Last column: nearest neighbours and their distance in Å.
Sites, in units of the cell vectors:
1 Pm 0.0000 0.0000 0.0000  8 Mg 3.34
2 Mg 0.5000 0.5000 0.5000  8 Pm 3.34

Calculated values
The space group is Pm-3m.

***

Crystalline Sc3N5F14 at its relaxed geometry. Source: Materials Project, functional PBE-GGA.

Lattice parameters (Å, degrees): 7.9562 7.9562 11.2325 90.00 90.00 90.00
Last column: nearest neighbours and their distance in Å.
Sites, in units of the cell vectors:
1 Sc 0.0000 0.0000 0.0000  6 F 1.93-2.11
2 Sc 0.0000 0.5000 0.0000  6 F 1.98-2.10
3 Sc 0.0000 0.5000 0.5000  6 F 1.98-2.10
4 Sc 0.5000 0.0000 0.0000  6 F 1.98-2.10
5 Sc 0.5000 0.0000 0.5000  6 F 1.98-2.10
6 Sc 0.5000 0.5000 0.5000  6 F 1.93-2.11
7 N 0.0000 0.0000 0.5000  8 F 2.93
8 N 0.1740 0.3260 0.2500  2 F 1.69
9 N 0.1740 0.3260 0.7500  2 F 1.69
10 N 0.3260 0.8260 0.2500  2 F 1.69
11 N 0.3260 0.8260 0.7500  2 F 1.69
12 N 0.5000 0.5000 0.0000  8 F 2.93
13 N 0.6740 0.1740 0.2500  2 F 1.69
14 N 0.6740 0.1740 0.7500  2 F 1.69
15 N 0.8260 0.6740 0.2500  2 F 1.69
16 N 0.8260 0.6740 0.7500  2 F 1.69
17 F 0.0000 0.0000 0.1720  1 Sc 1.93
18 F 0.0000 0.0000 0.8280  1 Sc 1.93
19 F 0.0493 0.3157 0.3712  1 N 1.69
20 F 0.0493 0.3157 0.6288  1 N 1.69
21 F 0.0613 0.7414 0.0000  2 Sc 1.98-2.11
22 F 0.1843 0.4507 0.1288  1 N 1.69
23 F 0.1843 0.4507 0.8712  1 N 1.69
24 F 0.2414 0.5613 0.5000  2 Sc 1.98-2.11
25 F 0.2586 0.0613 0.0000  2 Sc 1.98-2.11
26 F 0.3157 0.9507 0.3712  1 N 1.69
27 F 0.3157 0.9507 0.6288  1 N 1.69
28 F 0.4387 0.2414 0.5000  2 Sc 1.98-2.11
29 F 0.4507 0.8157 0.1288  1 N 1.69
30 F 0.4507 0.8157 0.8712  1 N 1.69
31 F 0.5000 0.5000 0.3280  1 Sc 1.93
32 F 0.5000 0.5000 0.6720  1 Sc 1.93
33 F 0.5493 0.1843 0.1288  1 N 1.69
34 F 0.5493 0.1843 0.8712  1 N 1.69
35 F 0.5613 0.7586 0.5000  2 Sc 1.98-2.11
36 F 0.6843 0.0493 0.3712  1 N 1.69
37 F 0.6843 0.0493 0.6288  1 N 1.69
38 F 0.7414 0.9387 0.0000  2 Sc 1.98-2.11
39 F 0.7586 0.4387 0.5000  2 Sc 1.98-2.11
40 F 0.8157 0.5493 0.1288  1 N 1.69
41 F 0.8157 0.5493 0.8712  1 N 1.69
42 F 0.9387 0.2586 0.0000  2 Sc 1.98-2.11
43 F 0.9507 0.6843 0.3712  1 N 1.69
44 F 0.9507 0.6843 0.6288  1 N 1.69

Calculated values
The corrected total energy (MP2020 scheme) comes out at -5.46 eV per atom. The space group is P4/mnc.

***

Crystalline LiBS4Cl4O12 at its relaxed geometry. Source: Materials Project, functional PBE-GGA.

Lattice parameters (Å, degrees): 9.0557 8.6337 21.2918 90.00 91.58 90.00
Last column: nearest neighbours and their distance in Å.
Sites, in units of the cell vectors:
1 Li 0.0887 0.2497 0.0615  6 O 2.07-2.25
2 Li 0.0887 0.2503 0.5615  6 O 2.07-2.25
3 Li 0.9113 0.7497 0.4385  6 O 2.07-2.25
4 Li 0.9113 0.7503 0.9385  6 O 2.07-2.25
5 B 0.3492 0.7449 0.4116  4 O 1.48-1.49
6 B 0.3492 0.7551 0.9116  4 O 1.48-1.49
7 B 0.6508 0.2449 0.0884  4 O 1.48-1.49
8 B 0.6508 0.2551 0.5884  4 O 1.48-1.49
9 S 0.1474 0.6256 0.8280  3 O 1.43-1.56
10 S 0.1474 0.8744 0.3280  3 O 1.43-1.56
11 S 0.1889 0.0187 0.9387  3 O 1.43-1.55
12 S 0.1889 0.4813 0.4387  3 O 1.43-1.55
13 S 0.2254 0.6064 0.0133  3 O 1.43-1.55
14 S 0.2254 0.8936 0.5133  3 O 1.43-1.55
15 S 0.3978 0.1787 0.1495  3 O 1.43-1.56
16 S 0.3978 0.3213 0.6495  3 O 1.43-1.56
17 S 0.6022 0.6787 0.3505  3 O 1.43-1.56
18 S 0.6022 0.8213 0.8505  3 O 1.43-1.56
19 S 0.7746 0.1064 0.4867  3 O 1.43-1.55
20 S 0.7746 0.3936 0.9867  3 O 1.43-1.55
21 S 0.8111 0.5187 0.5613  3 O 1.43-1.55
22 S 0.8111 0.9813 0.0613  3 O 1.43-1.55
23 S 0.8526 0.1256 0.6720  3 O 1.43-1.56
24 S 0.8526 0.3744 0.1720  3 O 1.43-1.56
25 Cl 0.0611 0.7490 0.7551  1 S 2.02
26 Cl 0.0611 0.7510 0.2551  1 S 2.02
27 Cl 0.2468 0.1717 0.8721  1 S 2.02
28 Cl 0.2468 0.3283 0.3721  1 S 2.02
29 Cl 0.3583 0.7005 0.0811  1 S 2.02
30 Cl 0.3583 0.7995 0.5811  1 S 2.02
31 Cl 0.4285 0.1760 0.7237  1 S 2.03
32 Cl 0.4285 0.3240 0.2237  1 S 2.03
33 Cl 0.5715 0.6760 0.7763  1 S 2.03
34 Cl 0.5715 0.8240 0.2763  1 S 2.03
35 Cl 0.6417 0.2005 0.4189  1 S 2.02
36 Cl 0.6417 0.2995 0.9189  1 S 2.02
37 Cl 0.7532 0.6717 0.6279  1 S 2.02
38 Cl 0.7532 0.8283 0.1279  1 S 2.02
39 Cl 0.9389 0.2490 0.7449  1 S 2.02
40 Cl 0.9389 0.2510 0.2449  1 S 2.02
41 O 0.0339 0.6083 0.8737  1 S 1.44
42 O 0.0339 0.8917 0.3737  1 S 1.44
43 O 0.0568 0.5562 0.4154  1 S 1.44
44 O 0.0568 0.9438 0.9154  1 S 1.44
45 O 0.0947 0.7010 0.0093  1 S 1.44
46 O 0.0947 0.7990 0.5093  1 S 1.44
47 O 0.1897 0.1013 0.9971  1 S 1.43
48 O 0.1897 0.3987 0.4971  1 S 1.43
49 O 0.2130 0.0556 0.5265  1 S 1.43
50 O 0.2130 0.4444 0.0265  1 S 1.43
51 O 0.2151 0.0101 0.3031  1 S 1.43
52 O 0.2151 0.4899 0.8031  1 S 1.43
53 O 0.2456 0.1929 0.1300  1 S 1.43
54 O 0.2456 0.3071 0.6300  1 S 1.43
55 O 0.2662 0.7450 0.8511  1 B 1.48, 1 S 1.56
56 O 0.2662 0.7550 0.3511  1 B 1.48, 1 S 1.56
57 O 0.3186 0.6208 0.9535  1 B 1.49, 1 S 1.55
58 O 0.3186 0.8792 0.4535  1 B 1.49, 1 S 1.55
59 O 0.3227 0.5938 0.4428  1 B 1.49, 1 S 1.55
60 O 0.3227 0.9062 0.9428  1 B 1.49, 1 S 1.55
61 O 0.4573 0.0307 0.1669  1 S 1.43
62 O 0.4573 0.4693 0.6669  1 S 1.43
63 O 0.4902 0.2411 0.5980  1 B 1.48, 1 S 1.56
64 O 0.4902 0.2589 0.0980  1 B 1.48, 1 S 1.56
65 O 0.5098 0.7411 0.9020  1 B 1.48, 1 S 1.56
66 O 0.5098 0.7589 0.4020  1 B 1.48, 1 S 1.56
67 O 0.5427 0.5307 0.3331  1 S 1.43
68 O 0.5427 0.9693 0.8331  1 S 1.43
69 O 0.6773 0.0938 0.0572  1 B 1.49, 1 S 1.55
70 O 0.6773 0.4062 0.5572  1 B 1.49, 1 S 1.55
71 O 0.6814 0.1208 0.5465  1 B 1.49, 1 S 1.55
72 O 0.6814 0.3792 0.0465  1 B 1.49, 1 S 1.55
73 O 0.7338 0.2450 0.6489  1 B 1.48, 1 S 1.56
74 O 0.7338 0.2550 0.1489  1 B 1.48, 1 S 1.56
75 O 0.7544 0.6929 0.3700  1 S 1.43
76 O 0.7544 0.8071 0.8700  1 S 1.43
77 O 0.7849 0.5101 0.1969  1 S 1.43
78 O 0.7849 0.9899 0.6969  1 S 1.43
79 O 0.7870 0.5556 0.9735  1 S 1.43
80 O 0.7870 0.9444 0.4735  1 S 1.43
81 O 0.8103 0.6013 0.5029  1 S 1.43
82 O 0.8103 0.8987 0.0029  1 S 1.43
83 O 0.9053 0.2010 0.4907  1 S 1.44
84 O 0.9053 0.2990 0.9907  1 S 1.44
85 O 0.9432 0.0562 0.0846  1 S 1.44
86 O 0.9432 0.4438 0.5846  1 S 1.44
87 O 0.9661 0.1083 0.6263  1 S 1.44
88 O 0.9661 0.3917 0.1263  1 S 1.44

Calculated values
The corrected total energy (MP2020 scheme) comes out at -5.79 eV per atom. The space group is P2_1/c.

***

Crystalline Ca4Cd3Au at its relaxed geometry. Source: Materials Project, functional PBE-GGA.

Lattice parameters (Å, degrees): 3.8921 3.8921 14.4408 90.00 90.00 90.00
Last column: nearest neighbours and their distance in Å.
Sites, in units of the cell vectors:
1 Ca 0.0000 0.0000 0.1178  4 Au 3.24, 4 Cd 3.34, 1 Ca 3.40
2 Ca 0.0000 0.0000 0.3738  8 Cd 3.29-3.30, 1 Ca 3.65
3 Ca 0.0000 0.0000 0.6262  8 Cd 3.29-3.30, 1 Ca 3.65
4 Ca 0.0000 0.0000 0.8822  4 Au 3.24, 4 Cd 3.34, 1 Ca 3.40
5 Cd 0.5000 0.5000 0.2494  8 Ca 3.29-3.34, 1 Au 3.60, 1 Cd 3.62
6 Cd 0.5000 0.5000 0.5000  8 Ca 3.30, 2 Cd 3.62
7 Cd 0.5000 0.5000 0.7506  8 Ca 3.29-3.34, 1 Au 3.60, 1 Cd 3.62
8 Au 0.5000 0.5000 0.0000  8 Ca 3.24, 2 Cd 3.60

Calculated values
The space group is P4/mmm.

***

Crystalline Ti3PbO7 at its relaxed geometry. Source: Materials Project, functional PBE-GGA.

Lattice parameters (Å, degrees): 6.6805 3.8364 10.8338 90.00 97.80 90.00
Last column: nearest neighbours and their distance in Å.
Sites, in units of the cell vectors:
1 Ti 0.0511 0.2500 0.3987  5 O 1.86-2.03
2 Ti 0.1941 0.2500 0.0642  4 O 1.78-1.99
3 Ti 0.2452 0.7500 0.8438  4 O 1.83-1.99
4 Ti 0.7548 0.2500 0.1562  4 O 1.83-1.99
5 Ti 0.8059 0.7500 0.9358  4 O 1.78-1.99
6 Ti 0.9489 0.7500 0.6013  5 O 1.86-2.03
7 Pb 0.4950 0.7500 0.3486  5 O 2.40-2.59
8 Pb 0.5050 0.2500 0.6514  5 O 2.40-2.59
9 O 0.0236 0.7500 0.4259  3 Ti 1.95-2.03
10 O 0.0643 0.2500 0.2145  3 Ti 1.95-2.08
11 O 0.1456 0.7500 0.0216  3 Ti 1.99-2.12
12 O 0.2430 0.2500 0.8813  3 Ti 1.96-2.05
13 O 0.2528 0.7500 0.6759  1 Ti 1.83
14 O 0.3294 0.2500 0.4432  1 Ti 1.86
15 O 0.4544 0.2500 0.1279  2 Ti 1.78-1.99
16 O 0.5456 0.7500 0.8721  2 Ti 1.78-1.99
17 O 0.6706 0.7500 0.5568  1 Ti 1.86
18 O 0.7472 0.2500 0.3241  1 Ti 1.83
19 O 0.7570 0.7500 0.1187  3 Ti 1.96-2.05
20 O 0.8544 0.2500 0.9784  3 Ti 1.99-2.12
21 O 0.9357 0.7500 0.7855  3 Ti 1.95-2.08
22 O 0.9764 0.2500 0.5741  3 Ti 1.95-2.03

Calculated values
The corrected total energy (MP2020 scheme) comes out at -8.79 eV per atom. The space group is P2_1/m.

***

Crystalline ErInRh at its relaxed geometry. Source: Materials Project, functional PBE-GGA.

Lattice parameters (Å, degrees): 7.4996 7.4996 3.9155 90.00 90.00 120.00
Last column: nearest neighbours and their distance in Å.
Sites, in units of the cell vectors:
1 Er 0.0000 0.5943 0.0000  5 Rh 3.00-3.04, 6 In 3.19-3.31
2 Er 0.4057 0.4057 0.0000  5 Rh 3.00-3.04, 6 In 3.19-3.31
3 Er 0.5943 0.0000 0.0000  5 Rh 3.00-3.04, 6 In 3.19-3.31
4 In 0.0000 0.2581 0.5000  4 Rh 2.75-2.82
5 In 0.2581 0.0000 0.5000  4 Rh 2.75-2.82
6 In 0.7419 0.7419 0.5000  4 Rh 2.75-2.82
7 Rh 0.0000 0.0000 0.0000  6 In 2.75, 3 Er 3.04
8 Rh 0.3333 0.6667 0.5000  3 In 2.82, 6 Er 3.00
9 Rh 0.6667 0.3333 0.5000  3 In 2.82, 6 Er 3.00

Calculated values
The space group is P-62m.

***

Crystalline CeHfMg14 at its relaxed geometry. Source: Materials Project, functional PBE-GGA.

Lattice parameters (Å, degrees): 10.4465 6.5391 6.5391 57.48 90.00 90.00
Last column: nearest neighbours and their distance in Å.
Sites, in units of the cell vectors:
1 Ce 0.0000 0.0000 0.0000  2 Hf 3.15, 10 Mg 3.25-3.29
2 Hf 0.0000 0.4922 0.4922  2 Ce 3.15, 10 Mg 3.20-3.34
3 Mg 0.0000 0.0006 0.4970  8 Mg 3.12-3.26, 2 Hf 3.20-3.34, 2 Ce 3.25-3.29
4 Mg 0.0000 0.4970 0.0006  8 Mg 3.12-3.26, 2 Hf 3.20-3.34, 2 Ce 3.25-3.29
5 Mg 0.2442 0.6606 0.6606  11 Mg 3.15-3.30, 1 Hf 3.20
6 Mg 0.2556 0.1652 0.6587  10 Mg 3.10-3.31, 1 Hf 3.22, 1 Ce 3.27
7 Mg 0.2556 0.6587 0.1652  10 Mg 3.10-3.31, 1 Hf 3.22, 1 Ce 3.27
8 Mg 0.2583 0.1648 0.1648  11 Mg 3.13-3.31, 1 Ce 3.29
9 Mg 0.5000 0.4994 0.4994  12 Mg 3.14-3.29
10 Mg 0.5000 0.4999 0.9965  12 Mg 3.12-3.29
11 Mg 0.5000 0.9965 0.4999  12 Mg 3.12-3.29
12 Mg 0.5000 0.9976 0.9976  12 Mg 3.14-3.28
13 Mg 0.7417 0.1648 0.1648  11 Mg 3.13-3.31, 1 Ce 3.29
14 Mg 0.7444 0.1652 0.6587  10 Mg 3.10-3.31, 1 Hf 3.22, 1 Ce 3.27
15 Mg 0.7444 0.6587 0.1652  10 Mg 3.10-3.31, 1 Hf 3.22, 1 Ce 3.27
16 Mg 0.7558 0.6606 0.6606  11 Mg 3.15-3.30, 1 Hf 3.20

Calculated values
The calculation puts the polymorph energy (0 for the lowest one) at 0.0 kJ/mol of atoms. The space group is Amm2.

***

Crystalline Zn2CdB2O6 at its relaxed geometry. Source: Materials Project, functional PBE-GGA.

Lattice parameters (Å, degrees): 6.3246 6.4277 6.5664 80.26 81.59 82.93
Last column: nearest neighbours and their distance in Å.
Sites, in units of the cell vectors:
1 Zn 0.0000 0.0000 0.0000  4 O 1.99-2.09
2 Zn 0.1757 0.5048 0.8192  4 O 1.99-2.07
3 Zn 0.4937 0.8940 0.1129  4 O 1.95-2.02
4 Zn 0.7919 0.2096 0.4984  4 O 1.95-2.05
5 Cd 0.2992 0.3904 0.3151  4 O 2.18-2.28
6 Cd 0.6618 0.7112 0.6133  4 O 2.18-2.31
7 B 0.1165 0.8340 0.4348  3 O 1.38-1.40
8 B 0.3620 0.0802 0.7085  3 O 1.38-1.39
9 B 0.6219 0.3075 0.9237  3 O 1.38-1.39
10 B 0.8600 0.5804 0.1770  3 O 1.38-1.39
11 O 0.1732 0.1912 0.7840  1 B 1.38
12 O 0.1908 0.9315 0.2360  1 B 1.39
13 O 0.2253 0.6462 0.5241  1 B 1.40
14 O 0.4300 0.4219 0.9854  1 B 1.38
15 O 0.4364 0.8902 0.8221  1 B 1.39
16 O 0.4783 0.1493 0.5174  1 B 1.39
17 O 0.6664 0.6685 0.2706  1 B 1.39
18 O 0.6958 0.1235 0.0487  1 B 1.39
19 O 0.7401 0.3772 0.7350  1 B 1.39
20 O 0.9308 0.9195 0.5416  1 B 1.38
21 O 0.9513 0.3879 0.2709  1 B 1.38
22 O 0.9656 0.6827 0.9931  1 B 1.39

Calculated values
The corrected total energy (MP2020 scheme) comes out at -6.42 eV per atom. The space group is P1.

***

| no. | E_form (eV/atom) | calculated total energy (eV per atom) |
| --- | --- | --- |
| 1 | -0.105 | -3.28 |
| 2 | -1.485 | -5.17 |
| 3 | -1.609 | -5.41 |
| 4 | -0.443 | -2.20 |
| 5 | -3.153 | -8.36 |
| 6 | -0.753 | -5.65 |
| 7 | 0.064 | -2.33 |
| 8 | -2.198 | -6.05 |